1.
! KTaSi2O7, relaxed, DFT PBE; values from VASP
! space group = P4/mbm, No. 127
! ΔH_f (0 K) = -3.21 eV/atom
&SYSTEM
  ibrav = 0, nat = 44, ntyp = 4
/
ATOMIC_SPECIES
K 39.10 K.upf
Ta 180.95 Ta.upf
Si 28.09 Si.upf
O 16.00 O.upf
CELL_PARAMETERS angstrom
8.891 0.000 0.000
0.000 8.891 0.000
0.000 0.000 8.000
ATOMIC_POSITIONS crystal
K 0.178 0.322 0.000
K 0.322 0.822 0.000
K 0.678 0.178 0.000
K 0.822 0.678 0.000
Ta 0.000 0.000 0.249
Ta 0.000 0.000 0.751
Ta 0.500 0.500 0.249
Ta 0.500 0.500 0.751
Si 0.123 0.623 0.300
Si 0.123 0.623 0.700
Si 0.377 0.123 0.300
Si 0.377 0.123 0.700
Si 0.623 0.877 0.300
Si 0.623 0.877 0.700
Si 0.877 0.377 0.300
Si 0.877 0.377 0.700
O 0.000 0.000 0.000
O 0.000 0.000 0.500
O 0.000 0.500 0.227
O 0.000 0.500 0.773
O 0.076 0.788 0.233
O 0.076 0.788 0.767
O 0.118 0.618 0.500
O 0.212 0.076 0.233
O 0.212 0.076 0.767
O 0.288 0.576 0.233
O 0.288 0.576 0.767
O 0.382 0.118 0.500
O 0.424 0.288 0.233
O 0.424 0.288 0.767
O 0.500 0.000 0.227
O 0.500 0.000 0.773
O 0.500 0.500 0.000
O 0.500 0.500 0.500
O 0.576 0.712 0.233
O 0.576 0.712 0.767
O 0.618 0.882 0.500
O 0.712 0.424 0.233
O 0.712 0.424 0.767
O 0.788 0.924 0.233
O 0.788 0.924 0.767
O 0.882 0.382 0.500
O 0.924 0.212 0.233
O 0.924 0.212 0.767

2.
! Hf3Co, relaxed, DFT PBE; values from VASP
! space group = Pm-3m, No. 221
! ΔH_f (0 K) = 0.13 eV/atom
&SYSTEM
  ibrav = 0, nat = 4, ntyp = 2
/
ATOMIC_SPECIES
Hf 178.49 Hf.upf
Co 58.93 Co.upf
CELL_PARAMETERS angstrom
4.242 0.000 0.000
0.000 4.242 0.000
0.000 0.000 4.242
ATOMIC_POSITIONS crystal
Hf 0.000 0.000 0.500
Hf 0.000 0.500 0.000
Hf 0.500 0.000 0.000
Co 0.500 0.500 0.500

3.
! Er5Mg24, relaxed, DFT PBE; values from VASP
! space group = I-43m, No. 217
! ΔH_f (0 K) = -0.03 eV/atom
&SYSTEM
  ibrav = 0, nat = 29, ntyp = 2
/
ATOMIC_SPECIES
Er 167.26 Er.upf
Mg 24.30 Mg.upf
CELL_PARAMETERS angstrom
-5.615 5.615 5.615
5.615 -5.615 5.615
5.615 5.615 -5.615
ATOMIC_POSITIONS crystal
Er 0.000 0.000 0.000
Er 0.000 0.000 0.373
Er 0.000 0.373 0.000
Er 0.373 0.000 0.000
Er 0.627 0.627 0.627
Mg 0.000 0.323 0.611
Mg 0.000 0.611 0.323
Mg 0.000 0.629 0.809
Mg 0.000 0.809 0.629
Mg 0.180 0.371 0.371
Mg 0.191 0.191 0.820
Mg 0.191 0.820 0.191
Mg 0.287 0.677 0.677
Mg 0.323 0.000 0.611
Mg 0.323 0.611 0.000
Mg 0.371 0.180 0.371
Mg 0.371 0.371 0.180
Mg 0.389 0.389 0.713
Mg 0.389 0.713 0.389
Mg 0.611 0.000 0.323
Mg 0.611 0.323 0.000
Mg 0.629 0.000 0.809
Mg 0.629 0.809 0.000
Mg 0.677 0.287 0.677
Mg 0.677 0.677 0.287
Mg 0.713 0.389 0.389
Mg 0.809 0.000 0.629
Mg 0.809 0.629 0.000
Mg 0.820 0.191 0.191

4.
! TiNb2O7, relaxed, DFT PBE; values from VASP
! space group = Cm, No. 8
! ΔH_f (0 K) = -3.17 eV/atom
! offset from the most stable computed form = 0.03 eV/f.u.
&SYSTEM
  ibrav = 0, nat = 30, ntyp = 3
/
ATOMIC_SPECIES
Ti 47.87 Ti.upf
Nb 92.91 Nb.upf
O 16.00 O.upf
CELL_PARAMETERS angstrom
10.305 -1.930 0.000
10.305 1.930 0.000
-6.136 0.000 10.502
ATOMIC_POSITIONS crystal
Ti 0.000 0.000 0.000
Ti 0.414 0.414 0.268
Ti 0.517 0.517 0.618
Nb 0.592 0.592 0.259
Nb 0.624 0.624 0.987
Nb 0.702 0.702 0.630
Nb 0.786 0.786 0.269
Nb 0.820 0.820 0.002
Nb 0.895 0.895 0.643
O 0.081 0.081 0.211
O 0.107 0.107 0.007
O 0.208 0.208 0.630
O 0.305 0.305 0.253
O 0.330 0.330 0.047
O 0.416 0.416 0.632
O 0.462 0.462 0.434
O 0.494 0.494 0.238
O 0.532 0.532 0.033
O 0.577 0.577 0.815
O 0.607 0.607 0.625
O 0.652 0.652 0.433
O 0.682 0.682 0.216
O 0.730 0.730 0.044
O 0.760 0.760 0.827
O 0.804 0.804 0.635
O 0.835 0.835 0.442
O 0.880 0.880 0.227
O 0.919 0.919 0.023
O 0.952 0.952 0.829
O 0.998 0.998 0.627